Record 1
A relaxed Ca2LaMn2O7 crystal. Source: the Materials Project database, functional PBE with a Hubbard U.

Lattice parameters (Å, degrees): 5.5085 19.3568 5.5086 90.00 90.00 90.00
Space group Cmcm (No. 63)
Unique sites:
Ca1 0.0000 0.0655 0.2500 (multiplicity 4)
Ca2 0.0000 0.4347 0.2500 (multiplicity 4)
La1 0.0000 0.2500 0.2500 (multiplicity 4)
Mn1 0.0000 0.1470 0.7500 (multiplicity 4)
Mn2 0.0000 0.3518 0.7500 (multiplicity 4)
O1 0.0000 0.0499 0.7500 (multiplicity 4)
O2 0.0000 0.2484 0.7500 (multiplicity 4)
O3 0.0000 0.4491 0.7500 (multiplicity 4)
O4 0.2414 0.3461 0.5084 (multiplicity 16)

As for the crystal system: orthorhombic. As for the calculated formation energy: -273.4 kJ/mol of atoms.

---

Record 2
A relaxed Mn2O3F crystal. Source: the Materials Project database, functional PBE with a Hubbard U.

Lattice parameters (Å, degrees): 8.7657 6.6243 7.0429 90.00 110.68 90.00
Space group C2 (No. 5)
Unique sites:
Mn1 0.0000 0.0000 0.0000 (multiplicity 2)
Mn2 0.0000 0.0115 0.5000 (multiplicity 2)
Mn3 0.1654 0.4820 0.6646 (multiplicity 4)
Mn4 0.1674 0.4622 0.1659 (multiplicity 4)
O1 0.0000 0.2970 0.5000 (multiplicity 2)
O2 0.0632 0.4705 0.8720 (multiplicity 4)
O3 0.1004 0.9851 0.7958 (multiplicity 4)
O4 0.1736 0.1751 0.1726 (multiplicity 4)
O5 0.2312 0.9902 0.5418 (multiplicity 4)
F1 0.0000 0.7085 0.5000 (multiplicity 2)
F2 0.1587 0.7681 0.1574 (multiplicity 4)

As for the crystal system: monoclinic. As for the calculated formation energy: -196.8 kJ/mol of atoms.

---

calculated formation energy of number 2 (Mn2O3F)?
-196.8 kJ/mol of atoms

---

Repeat the second record exactly.
A relaxed Mn2O3F crystal. Source: the Materials Project database, functional PBE with a Hubbard U.

Lattice parameters (Å, degrees): 8.7657 6.6243 7.0429 90.00 110.68 90.00
Space group C2 (No. 5)
Unique sites:
Mn1 0.0000 0.0000 0.0000 (multiplicity 2)
Mn2 0.0000 0.0115 0.5000 (multiplicity 2)
Mn3 0.1654 0.4820 0.6646 (multiplicity 4)
Mn4 0.1674 0.4622 0.1659 (multiplicity 4)
O1 0.0000 0.2970 0.5000 (multiplicity 2)
O2 0.0632 0.4705 0.8720 (multiplicity 4)
O3 0.1004 0.9851 0.7958 (multiplicity 4)
O4 0.1736 0.1751 0.1726 (multiplicity 4)
O5 0.2312 0.9902 0.5418 (multiplicity 4)
F1 0.0000 0.7085 0.5000 (multiplicity 2)
F2 0.1587 0.7681 0.1574 (multiplicity 4)

As for the crystal system: monoclinic. As for the calculated formation energy: -196.8 kJ/mol of atoms.

---

What is the calculated formation energy in the first record?
-273.4 kJ/mol of atoms

---

Among the records above, which one has the highest calculated formation energy?
Mn2O3F